Below is Zr6Zn23Si after structural relaxation, with properties calculated at the r²SCAN level.

Values from the calculation:
M_tot	0.0	μB/cell
DFT formation energy	-32.0	kJ per mole of atoms
E_tot	-1440.66	eV per cell
calculated volume	1853.82	Å³/cell

Lattice parameters (Å, degrees): 12.284 12.284 12.284 90.00 90.00 90.00
Space group Fm-3m (No. 225)
Unique sites:
1 Zr 0.000 0.000 0.212 [24 per cell]
2 Zn 0.000 0.000 0.500 [4 per cell]
3 Zn 0.000 0.250 0.250 [24 per cell]
4 Zn 0.124 0.124 0.376 [32 per cell]
5 Zn 0.166 0.166 0.166 [32 per cell]
6 Si 0.000 0.000 0.000 [4 per cell]


Below is CeB2Ir2 after structural relaxation, with properties calculated at the r²SCAN level.

Values from the calculation:
M_tot	9.3	μB/cell
DFT formation energy	-80.7	kJ per mole of atoms
E_tot	-1235.48	eV per cell
calculated volume	605.23	Å³/cell

Lattice parameters (Å, degrees): 6.006 9.422 10.696 90.00 90.00 90.00
Space group Fddd (No. 70, origin choice 2)
Unique sites:
1 Ce 0.125 0.125 0.125 [8 per cell]
2 B 0.125 0.303 0.625 [16 per cell]
3 Ir 0.125 0.125 0.495 [16 per cell]


Below is V4OF11 after structural relaxation, with properties calculated at the r²SCAN level.

Values from the calculation:
M_tot	7.0	μB/cell
DFT formation energy	-306.5	kJ per mole of atoms
E_tot	-147.54	eV per cell
calculated volume	196.31	Å³/cell

Lattice parameters (Å, degrees): 5.066 5.316 8.700 105.49 90.02 118.42
Space group P1 (No. 1)
Unique sites:
1 V 0.000 0.000 0.000 [1 per cell]
2 V 0.234 0.468 0.767 [1 per cell]
3 V 0.497 0.981 0.510 [1 per cell]
4 V 0.750 0.486 0.257 [1 per cell]
5 O 0.030 0.235 0.884 [1 per cell]
6 F 0.052 0.720 0.822 [1 per cell]
7 F 0.062 0.740 0.445 [1 per cell]
8 F 0.434 0.222 0.073 [1 per cell]
9 F 0.446 0.246 0.694 [1 per cell]
10 F 0.473 0.725 0.636 [1 per cell]
11 F 0.508 0.234 0.384 [1 per cell]
12 F 0.556 0.728 0.322 [1 per cell]
13 F 0.566 0.748 0.945 [1 per cell]
14 F 0.932 0.226 0.573 [1 per cell]
15 F 0.940 0.242 0.195 [1 per cell]
16 F 0.982 0.742 0.130 [1 per cell]


Below is V2ReMo after structural relaxation, with properties calculated at the r²SCAN level.

Values from the calculation:
M_tot	0.0	μB/cell
DFT formation energy	-31.6	kJ per mole of atoms
E_tot	-431.89	eV per cell
calculated volume	225.19	Å³/cell

Lattice parameters (Å, degrees): 6.084 6.084 6.084 90.00 90.00 90.00
Space group Fm-3m (No. 225)
Unique sites:
1 V 0.250 0.250 0.250 [8 per cell]
2 Re 0.000 0.000 0.000 [4 per cell]
3 Mo 0.000 0.000 0.500 [4 per cell]